No. 1
Computed, not measured: an optimized crystal structure of MgFe6O6F6 at the PBE with a Hubbard U level of DFT.

a b c (Å): 7.9486 5.9451 5.8784
angles (deg): 68.39 68.68 65.99
Closest atoms and distances in Å follow each position.
Fractional coordinates of all 19 atoms:
1 Mg 0.4963 0.4965 0.9934  4 F 1.96-2.03, 2 O 1.99-2.04
2 Fe 0.8581 0.6708 0.6746  4 O 1.95-2.08, 1 F 2.08
3 Fe 0.6860 0.3164 0.3673  2 O 1.97-2.10, 2 F 2.10-2.17
4 Fe 0.3207 0.6693 0.5527  2 O 1.87-1.88, 1 F 1.97
5 Fe 0.1498 0.3259 0.3838  4 O 1.90-2.10, 1 F 2.07
6 Fe 0.5197 0.9719 0.9925  3 O 1.92-1.99, 1 F 2.08
7 Fe 0.0109 0.9919 0.0209  2 O 2.01-2.02, 2 F 2.22-2.23
8 O 0.6728 0.0118 0.6511  3 Fe 1.92-1.97
9 O 0.3715 0.4394 0.3709  1 Fe 1.87, 1 Mg 2.04
10 O 0.3384 0.9846 0.3295  3 Fe 1.88-2.03
11 O 0.6795 0.6163 0.0375  3 Fe 1.95-2.10, 1 Mg 1.99
12 O 0.0038 0.3028 0.7242  3 Fe 1.90-2.02
13 O 0.9933 0.6882 0.3191  3 Fe 1.96-2.01
14 F 0.3341 0.3745 0.9140  1 Mg 1.96
15 F 0.3265 0.8597 0.9113  1 Mg 2.01, 2 Fe 2.15-2.22
16 F 0.9829 0.2281 0.2594  3 Fe 2.07-2.23
17 F 0.5949 0.5655 0.6109  1 Mg 2.03, 2 Fe 2.13-2.17
18 F 0.0531 0.7702 0.7466  2 Fe 1.97-2.08
19 F 0.6743 0.1329 0.0690  1 Mg 2.03, 1 Fe 2.08

Space-group type: P1
ΔE to the lowest computed polymorph: 0.034 eV/atom

No. 2
Computed, not measured: an optimized crystal structure of Na5MnO4 at the PBE with a Hubbard U level of DFT.

a b c (Å): 5.8860 12.1450 7.8823
angles (deg): 90.00 90.00 90.00
Closest atoms and distances in Å follow each position.
Fractional coordinates of all 40 atoms:
1 Na 0.2386 0.3388 0.5000  4 O 2.36-2.51
2 Na 0.2386 0.8388 0.5000  4 O 2.36-2.51
3 Na 0.7386 0.1612 0.0000  4 O 2.36-2.51
4 Na 0.7386 0.6612 0.0000  4 O 2.36-2.51
5 Na 0.7472 0.3035 0.3012  4 O 2.28-2.49
6 Na 0.7472 0.8035 0.3012  4 O 2.28-2.49
7 Na 0.2472 0.1965 0.8012  4 O 2.28-2.49
8 Na 0.2472 0.6965 0.8012  4 O 2.28-2.49
9 Na 0.7472 0.3035 0.6988  4 O 2.28-2.49
10 Na 0.7472 0.8035 0.6988  4 O 2.28-2.49
11 Na 0.2472 0.1965 0.1988  4 O 2.28-2.49
12 Na 0.2472 0.6965 0.1988  4 O 2.28-2.49
13 Na 0.4357 0.4643 0.8211  3 O 2.33-2.43
14 Na 0.4357 0.9643 0.8211  3 O 2.33-2.43
15 Na 0.4357 0.4643 0.1789  3 O 2.33-2.43
16 Na 0.4357 0.9643 0.1789  3 O 2.33-2.43
17 Na 0.9357 0.0357 0.3211  3 O 2.33-2.43
18 Na 0.9357 0.5357 0.3211  3 O 2.33-2.43
19 Na 0.9357 0.0357 0.6789  3 O 2.33-2.43
20 Na 0.9357 0.5357 0.6789  3 O 2.33-2.43
21 Mn 0.4951 0.5865 0.5000  4 O 1.93-1.95
22 Mn 0.9951 0.9135 0.0000  4 O 1.93-1.95
23 Mn 0.4951 0.0865 0.5000  4 O 1.93-1.95
24 Mn 0.9951 0.4135 0.0000  4 O 1.93-1.95
25 O 0.6150 0.4366 0.5000  1 Mn 1.95
26 O 0.6150 0.9366 0.5000  1 Mn 1.95
27 O 0.1150 0.0634 0.0000  1 Mn 1.95
28 O 0.1150 0.5634 0.0000  1 Mn 1.95
29 O 0.1886 0.1423 0.5000  1 Mn 1.93
30 O 0.1886 0.6423 0.5000  1 Mn 1.93
31 O 0.6886 0.3577 0.0000  1 Mn 1.93
32 O 0.6886 0.8577 0.0000  1 Mn 1.93
33 O 0.5948 0.1290 0.2749  1 Mn 1.94
34 O 0.5948 0.6290 0.2749  1 Mn 1.94
35 O 0.0948 0.3710 0.2251  1 Mn 1.94
36 O 0.0948 0.8710 0.2251  1 Mn 1.94
37 O 0.0948 0.3710 0.7749  1 Mn 1.94
38 O 0.0948 0.8710 0.7749  1 Mn 1.94
39 O 0.5948 0.1290 0.7251  1 Mn 1.94
40 O 0.5948 0.6290 0.7251  1 Mn 1.94

Piezoelectric modulus e_max: 0.409 C/m²

No. 3
Computed, not measured: an optimized crystal structure of LaNiO3 at the PBE with a Hubbard U level of DFT.

a b c (Å): 5.4339 7.7184 5.5564
angles (deg): 89.91 90.13 91.58
Closest atoms and distances in Å follow each position.
Fractional coordinates of all 20 atoms:
1 La 0.4981 0.7500 0.0026  5 O 2.40-2.66
2 La 0.9984 0.2496 0.5028  5 O 2.40-2.66
3 La 0.5018 0.2500 0.9975  5 O 2.40-2.66
4 La 0.0017 0.7503 0.4972  5 O 2.40-2.66
5 Ni 0.4999 0.0000 0.5000  6 O 1.90-1.93
6 Ni 0.9999 0.0000 0.0001  6 O 2.02-2.04
7 Ni 0.0001 0.5000 0.9999  6 O 1.90-1.93
8 Ni 0.5001 0.5000 0.5000  6 O 2.02-2.04
9 O 0.7766 0.4617 0.7354  2 Ni 1.92-2.02
10 O 0.2763 0.9617 0.2352  2 Ni 1.92-2.02
11 O 0.9950 0.2589 0.0717  2 Ni 1.90-2.04
12 O 0.4951 0.7590 0.5716  2 Ni 1.90-2.04
13 O 0.7327 0.5364 0.2204  2 Ni 1.93-2.02
14 O 0.2323 0.0362 0.7206  2 Ni 1.93-2.02
15 O 0.2237 0.5383 0.2644  2 Ni 1.92-2.02
16 O 0.7235 0.0383 0.7649  2 Ni 1.92-2.02
17 O 0.2674 0.4636 0.7796  2 Ni 1.93-2.02
18 O 0.7675 0.9638 0.2795  2 Ni 1.93-2.02
19 O 0.0052 0.7411 0.9282  2 Ni 1.90-2.04
20 O 0.5047 0.2410 0.4284  2 Ni 1.90-2.04

No. 4
Computed, not measured: an optimized crystal structure of Li4Fe2Co3Ni3O16 at the PBE with a Hubbard U level of DFT.

a b c (Å): 5.7781 5.7781 9.4141
angles (deg): 88.60 88.60 59.05
Closest atoms and distances in Å follow each position.
Fractional coordinates of all 28 atoms:
1 Li 0.6619 0.6619 0.1053  4 O 1.90-2.01
2 Li 0.9979 0.9979 0.0042  4 O 1.79-1.91
3 Li 0.0036 0.0036 0.5018  4 O 1.78-1.90
4 Li 0.3336 0.3336 0.6049  4 O 1.93-2.04
5 Fe 0.6726 0.6726 0.5077  6 O 1.97-2.15
6 Fe 0.3316 0.3316 0.0140  6 O 2.02-2.13
7 Co 0.3359 0.8294 0.7870  6 O 1.89-1.91
8 Co 0.8294 0.3359 0.7870  6 O 1.89-1.91
9 Co 0.1699 0.1699 0.2871  6 O 1.88-1.90
10 Ni 0.8292 0.8292 0.7862  6 O 1.94-1.99
11 Ni 0.1695 0.6616 0.2853  6 O 1.89-2.10
12 Ni 0.6616 0.1695 0.2853  6 O 1.89-2.10
13 O 0.3313 0.8526 0.3987  1 Co 1.88, 1 Li 1.88, 1 Fe 1.99, 1 Ni 2.10
14 O 0.5187 0.5187 0.6708  2 Co 1.90, 1 Li 1.98
15 O 0.6602 0.6602 0.8915  2 Co 1.90, 1 Ni 1.94, 1 Li 2.01
16 O 0.0026 0.0026 0.6907  1 Li 1.78, 2 Co 1.90, 1 Ni 1.94
17 O 0.0045 0.0045 0.1937  1 Li 1.79, 2 Ni 1.90, 1 Co 1.90
18 O 0.8526 0.3313 0.3987  1 Co 1.88, 1 Li 1.88, 1 Fe 1.99, 1 Ni 2.10
19 O 0.5101 0.9620 0.6679  1 Co 1.89, 1 Li 1.93, 1 Ni 1.96, 1 Fe 2.09
20 O 0.9620 0.5101 0.6679  1 Co 1.89, 1 Li 1.93, 1 Ni 1.96, 1 Fe 2.09
21 O 0.1577 0.1577 0.8905  1 Li 1.91, 2 Co 1.91, 1 Fe 2.13
22 O 0.8433 0.8433 0.4000  1 Li 1.90, 2 Ni 1.93, 1 Fe 1.97
23 O 0.0312 0.4681 0.1610  1 Co 1.88, 1 Li 1.91, 1 Fe 2.02, 1 Ni 2.07
24 O 0.4681 0.0312 0.1610  1 Co 1.88, 1 Li 1.91, 1 Fe 2.02, 1 Ni 2.07
25 O 0.3311 0.3311 0.3880  2 Ni 1.89, 1 Co 1.90, 1 Li 2.04
26 O 0.1689 0.6746 0.8957  1 Co 1.89, 1 Li 1.91, 1 Ni 1.99, 1 Fe 2.02
27 O 0.4792 0.4792 0.1642  1 Li 1.90, 2 Ni 1.91, 1 Fe 2.08
28 O 0.6746 0.1689 0.8957  1 Co 1.89, 1 Li 1.91, 1 Ni 1.99, 1 Fe 2.02

Space-group type: Cm

Table of mass density (Mg/m³), in record order: 4.1 2.8 7.0 4.6
Table of energy of formation from the pure elements (eV/atom), in record order: -2.110 -1.673 -2.452 -1.425